First-principles (PBE) data for Y4CI5 after structural relaxation, as listed in the Materials Project database.

Uncorrected energy (eV per formula unit): -54.0
Symmetry: C2/m (12)

POSCAR file:
```
Y4CI5
1.0
9.637 -1.990 0.000
9.637 1.990 0.000
-1.856 0.000 8.404
Y C I
4 1 5
Direct
0.000 0.000 0.189
0.000 0.000 0.811
0.372 0.372 0.937
0.628 0.628 0.063
0.500 0.500 0.000
0.163 0.163 0.339
0.166 0.166 0.822
0.500 0.500 0.500
0.834 0.834 0.178
0.837 0.837 0.661
```